a) This record from the Materials Project describes MgMn6Nb4O18 after structural relaxation. The functional is GGA+U.

Cell and atoms, written as CIF:
```
data_MgMn6Nb4O18
_chemical_formula_sum 'Mg1 Mn6 Nb4 O18'
_symmetry_space_group_name_H-M 'P 1'
_symmetry_Int_Tables_number 1
_symmetry_space_group_name_Hall 'P 1'
_cell_length_a 5.256
_cell_length_b 5.358
_cell_length_c 14.936
_cell_angle_alpha 89.05
_cell_angle_beta 89.84
_cell_angle_gamma 61.61
loop_
_atom_site_label
_atom_site_fract_x
_atom_site_fract_y
_atom_site_fract_z
_atom_site_occupancy
Mg1 0.000 0.000 0.000 1
Mn1 0.023 0.952 0.631 1
Mn2 0.032 0.935 0.829 1
Mn3 0.038 0.956 0.377 1
Mn4 0.316 0.309 0.175 1
Mn5 0.362 0.286 0.665 1
Mn6 0.987 0.974 0.181 1
Nb1 0.663 0.652 0.021 1
Nb2 0.673 0.615 0.316 1
Nb3 0.692 0.626 0.524 1
Nb4 0.701 0.603 0.814 1
O1 0.011 0.274 0.757 1
O2 0.022 0.597 0.585 1
O3 0.309 0.960 0.270 1
O4 0.326 0.691 0.082 1
O5 0.351 0.878 0.910 1
O6 0.373 0.631 0.751 1
O7 0.385 0.660 0.420 1
O8 0.396 0.939 0.586 1
O9 0.655 0.318 0.249 1
O10 0.681 0.318 0.586 1
O11 0.690 0.959 0.078 1
O12 0.746 0.919 0.752 1
O13 0.752 0.867 0.417 1
O14 0.754 0.342 0.919 1
O15 0.909 0.736 0.915 1
O16 0.910 0.341 0.413 1
O17 0.970 0.325 0.083 1
O18 0.974 0.642 0.249 1
```

Computed properties:
- M_tot: 0.964 μB/atom


b) This record from the Materials Project describes MgMn6Nb4O18 after structural relaxation. The functional is GGA+U.

Cell and atoms, written as CIF:
```
data_MgMn6Nb4O18
_chemical_formula_sum 'Mg1 Mn6 Nb4 O18'
_symmetry_space_group_name_H-M 'P 1'
_symmetry_Int_Tables_number 1
_symmetry_space_group_name_Hall 'P 1'
_cell_length_a 5.305
_cell_length_b 5.325
_cell_length_c 14.523
_cell_angle_alpha 90.04
_cell_angle_beta 90.28
_cell_angle_gamma 119.86
loop_
_atom_site_label
_atom_site_fract_x
_atom_site_fract_y
_atom_site_fract_z
_atom_site_occupancy
Mg1 0.000 0.000 0.000 1
Mn1 0.001 0.001 0.211 1
Mn2 0.661 0.333 0.375 1
Mn3 0.664 0.332 0.674 1
Mn4 0.665 0.331 0.887 1
Mn5 0.668 0.333 0.166 1
Mn6 0.998 0.999 0.696 1
Nb1 0.330 0.665 0.551 1
Nb2 0.332 0.665 0.046 1
Nb3 0.332 0.666 0.833 1
Nb4 0.332 0.668 0.339 1
O1 0.020 0.424 0.435 1
O2 0.025 0.320 0.104 1
O3 0.025 0.679 0.612 1
O4 0.052 0.678 0.942 1
O5 0.297 0.975 0.104 1
O6 0.317 0.344 0.612 1
O7 0.320 0.375 0.942 1
O8 0.353 0.005 0.778 1
O9 0.375 0.348 0.280 1
O10 0.397 0.966 0.437 1
O11 0.575 0.596 0.436 1
O12 0.623 0.944 0.942 1
O13 0.648 0.642 0.778 1
O14 0.651 0.023 0.280 1
O15 0.651 0.971 0.613 1
O16 0.678 0.703 0.105 1
O17 0.985 0.630 0.275 1
O18 0.992 0.349 0.778 1
```

Computed properties:
- M_tot: 0.963 μB/atom


c) This record from the Materials Project describes MgMn6Nb4O18 after structural relaxation. The functional is GGA+U.

Cell and atoms, written as CIF:
```
data_MgMn6Nb4O18
_chemical_formula_sum 'Mg1 Mn6 Nb4 O18'
_symmetry_space_group_name_H-M 'P 1'
_symmetry_Int_Tables_number 1
_symmetry_space_group_name_Hall 'P 1'
_cell_length_a 5.374
_cell_length_b 5.396
_cell_length_c 15.320
_cell_angle_alpha 94.48
_cell_angle_beta 95.53
_cell_angle_gamma 118.10
loop_
_atom_site_label
_atom_site_fract_x
_atom_site_fract_y
_atom_site_fract_z
_atom_site_occupancy
Mg1 0.000 0.000 0.000 1
Mn1 0.323 0.649 0.024 1
Mn2 0.467 0.795 0.506 1
Mn3 0.669 0.345 0.058 1
Mn4 0.772 0.428 0.331 1
Mn5 0.816 0.470 0.534 1
Mn6 0.818 0.393 0.830 1
Nb1 0.071 0.068 0.180 1
Nb2 0.085 0.077 0.373 1
Nb3 0.131 0.041 0.833 1
Nb4 0.207 0.190 0.641 1
O1 0.037 0.326 0.095 1
O2 0.058 0.278 0.752 1
O3 0.071 0.718 0.924 1
O4 0.072 0.422 0.422 1
O5 0.183 0.851 0.586 1
O6 0.320 0.016 0.105 1
O7 0.379 0.292 0.948 1
O8 0.381 0.317 0.276 1
O9 0.433 0.132 0.759 1
O10 0.434 0.123 0.431 1
O11 0.478 0.484 0.589 1
O12 0.739 0.760 0.085 1
O13 0.793 0.748 0.418 1
O14 0.830 0.151 0.267 1
O15 0.831 0.105 0.895 1
O16 0.861 0.135 0.576 1
O17 0.861 0.688 0.765 1
O18 0.998 0.780 0.265 1
```

Computed properties:
- M_tot: 0.962 μB/atom


d) This record from the Materials Project describes MgMn6Nb4O18 after structural relaxation. The functional is GGA+U.

Cell and atoms, written as CIF:
```
data_MgMn6Nb4O18
_chemical_formula_sum 'Mg1 Mn6 Nb4 O18'
_symmetry_space_group_name_H-M 'P 1'
_symmetry_Int_Tables_number 1
_symmetry_space_group_name_Hall 'P 1'
_cell_length_a 5.389
_cell_length_b 5.413
_cell_length_c 15.180
_cell_angle_alpha 90.82
_cell_angle_beta 99.78
_cell_angle_gamma 117.92
loop_
_atom_site_label
_atom_site_fract_x
_atom_site_fract_y
_atom_site_fract_z
_atom_site_occupancy
Mg1 0.000 0.000 0.000 1
Mn1 0.167 0.664 0.564 1
Mn2 0.364 0.750 0.845 1
Mn3 0.445 0.714 0.056 1
Mn4 0.816 0.992 0.539 1
Mn5 0.842 0.389 0.106 1
Mn6 0.976 0.508 0.359 1
Nb1 0.246 0.088 0.202 1
Nb2 0.348 0.222 0.398 1
Nb3 0.568 0.369 0.673 1
Nb4 0.740 0.440 0.873 1
O1 0.079 0.243 0.288 1
O2 0.091 0.927 0.457 1
O3 0.152 0.784 0.938 1
O4 0.207 0.344 0.108 1
O5 0.208 0.327 0.616 1
O6 0.215 0.842 0.298 1
O7 0.329 0.546 0.446 1
O8 0.438 0.114 0.793 1
O9 0.510 0.049 0.138 1
O10 0.540 0.040 0.615 1
O11 0.578 0.630 0.944 1
O12 0.579 0.646 0.779 1
O13 0.602 0.398 0.292 1
O14 0.738 0.279 0.447 1
O15 0.781 0.213 0.967 1
O16 0.813 0.649 0.609 1
O17 0.904 0.791 0.115 1
O18 0.960 0.474 0.780 1
```

Computed properties:
- M_tot: 0.962 μB/atom


Quick look at relative energies in eV/atom: a) 0.054; b) 0.000; c) 0.078; d) 0.060.


a) This record from the Materials Project describes MgMn4Ni2O8 after structural relaxation. The functional is GGA+U.

Cell and atoms, written as CIF:
```
data_MgMn4Ni2O8
_chemical_formula_sum 'Mg2 Mn8 Ni4 O16'
_symmetry_space_group_name_H-M 'I m m 2'
_symmetry_Int_Tables_number 44
_symmetry_space_group_name_Hall 'I 2 -2'
_cell_length_a 6.144
_cell_length_b 6.534
_cell_length_c 8.534
_cell_angle_alpha 90.00
_cell_angle_beta 90.00
_cell_angle_gamma 90.00
loop_
_atom_site_label
_atom_site_fract_x
_atom_site_fract_y
_atom_site_fract_z
_atom_site_occupancy
Mg1 0.000 0.000 0.000 1
Mn1 0.000 0.000 0.687 1
Mn2 0.000 0.261 0.409 1
Mn3 0.000 0.500 0.082 1
Ni1 0.223 0.500 0.711 1
O1 0.000 0.203 0.183 1
O2 0.000 0.301 0.635 1
O3 0.222 0.000 0.441 1
O4 0.237 0.500 0.375 1
```

Computed properties:
- M_tot: 0.133 μB/atom


b) This record from the Materials Project describes MgMn4Ni2O8 after structural relaxation. The functional is GGA+U.

Cell and atoms, written as CIF:
```
data_MgMn4Ni2O8
_chemical_formula_sum 'Mg2 Mn8 Ni4 O16'
_symmetry_space_group_name_H-M 'C 1 m 1'
_symmetry_Int_Tables_number 8
_symmetry_space_group_name_Hall 'C -2y'
_cell_length_a 10.375
_cell_length_b 5.958
_cell_length_c 6.591
_cell_angle_alpha 90.00
_cell_angle_beta 124.93
_cell_angle_gamma 90.00
loop_
_atom_site_label
_atom_site_fract_x
_atom_site_fract_y
_atom_site_fract_z
_atom_site_occupancy
Mg1 0.000 0.000 0.000 1
Mn1 0.000 0.500 0.000 1
Mn2 0.000 0.500 0.501 1
Mn3 0.175 0.000 0.467 1
Mn4 0.322 0.500 0.533 1
Ni1 0.250 0.250 0.001 1
O1 0.008 0.261 0.226 1
O2 0.225 0.500 0.176 1
O3 0.248 0.000 0.230 1
O4 0.252 0.500 0.771 1
O5 0.274 0.000 0.824 1
O6 0.492 0.239 0.775 1
```

Computed properties:
- M_tot: 1.467 μB/atom


Quick look at relative energies in eV/atom: a) 0.052; b) 0.000.


a) This record from the Materials Project describes MgMn4Ni2O8 after structural relaxation. The functional is GGA+U.

Cell and atoms, written as CIF:
```
data_MgMn4Ni2O8
_chemical_formula_sum 'Mg4 Mn16 Ni8 O32'
_symmetry_space_group_name_H-M 'F -4 3 m'
_symmetry_Int_Tables_number 216
_symmetry_space_group_name_Hall 'F -4 2 3'
_cell_length_a 9.043
_cell_length_b 9.043
_cell_length_c 9.043
_cell_angle_alpha 90.00
_cell_angle_beta 90.00
_cell_angle_gamma 90.00
loop_
_atom_site_label
_atom_site_fract_x
_atom_site_fract_y
_atom_site_fract_z
_atom_site_occupancy
Mg1 0.000 0.000 0.000 1
Mn1 0.143 0.143 0.143 1
Ni1 0.000 0.000 0.500 1
Ni2 0.250 0.250 0.750 1
O1 0.123 0.123 0.877 1
O2 0.126 0.126 0.374 1
```

Computed properties:
- M_tot: 0.933 μB/atom


b) This record from the Materials Project describes MgMn4Ni2O8 after structural relaxation. The functional is GGA+U.

Cell and atoms, written as CIF:
```
data_MgMn4Ni2O8
_chemical_formula_sum 'Mg2 Mn8 Ni4 O16'
_symmetry_space_group_name_H-M 'C 1 2/m 1'
_symmetry_Int_Tables_number 12
_symmetry_space_group_name_Hall '-C 2y'
_cell_length_a 10.255
_cell_length_b 6.063
_cell_length_c 6.527
_cell_angle_alpha 90.00
_cell_angle_beta 124.56
_cell_angle_gamma 90.00
loop_
_atom_site_label
_atom_site_fract_x
_atom_site_fract_y
_atom_site_fract_z
_atom_site_occupancy
Mg1 0.000 0.000 0.000 1
Mn1 0.152 0.000 0.468 1
Mn2 0.250 0.250 0.000 1
Ni1 0.000 0.500 0.000 1
Ni2 0.000 0.500 0.500 1
O1 0.013 0.250 0.773 1
O2 0.233 0.500 0.168 1
O3 0.249 0.000 0.260 1
```

Computed properties:
- M_tot: 0.933 μB/atom


Quick look at relative energies in eV/atom: a) 0.622; b) 0.000.


a) This record from the Materials Project describes MgMn4NiO8 after structural relaxation. The functional is GGA+U.

Cell and atoms, written as CIF:
```
data_MgMn4NiO8
_chemical_formula_sum 'Mg1 Mn4 Ni1 O8'
_symmetry_space_group_name_H-M 'P -1'
_symmetry_Int_Tables_number 2
_symmetry_space_group_name_Hall '-P 1'
_cell_length_a 5.938
_cell_length_b 5.982
_cell_length_c 5.997
_cell_angle_alpha 93.80
_cell_angle_beta 116.97
_cell_angle_gamma 118.25
loop_
_atom_site_label
_atom_site_fract_x
_atom_site_fract_y
_atom_site_fract_z
_atom_site_occupancy
Mg1 0.000 0.000 0.000 1
Mn1 0.000 0.000 0.500 1
Mn2 0.000 0.500 0.500 1
Mn3 0.500 0.000 0.500 1
Mn4 0.500 0.500 0.000 1
Ni1 0.500 0.500 0.500 1
O1 0.012 0.227 0.756 1
O2 0.023 0.244 0.300 1
O3 0.444 0.225 0.703 1
O4 0.467 0.742 0.719 1
```

Computed properties:
- M_tot: 1.284 μB/atom


b) This record from the Materials Project describes MgMn4NiO8 after structural relaxation. The functional is GGA+U.

Cell and atoms, written as CIF:
```
data_MgMn4NiO8
_chemical_formula_sum 'Mg1 Mn4 Ni1 O8'
_symmetry_space_group_name_H-M 'P -1'
_symmetry_Int_Tables_number 2
_symmetry_space_group_name_Hall '-P 1'
_cell_length_a 5.944
_cell_length_b 6.007
_cell_length_c 6.024
_cell_angle_alpha 118.27
_cell_angle_beta 92.01
_cell_angle_gamma 118.56
loop_
_atom_site_label
_atom_site_fract_x
_atom_site_fract_y
_atom_site_fract_z
_atom_site_occupancy
Mg1 0.000 0.000 0.000 1
Mn1 0.000 0.000 0.500 1
Mn2 0.000 0.500 0.500 1
Mn3 0.500 0.500 0.000 1
Mn4 0.500 0.500 0.500 1
Ni1 0.500 0.000 0.500 1
O1 0.233 0.002 0.735 1
O2 0.258 0.056 0.301 1
O3 0.265 0.497 0.264 1
O4 0.272 0.503 0.722 1
```

Computed properties:
- M_tot: 1.285 μB/atom


Quick look at relative energies in eV/atom: a) 0.019; b) 0.000.